# 1
# ThPSe | Materials Project | r²SCAN | optimized geometry
data_ThPSe
_space_group_name_H-M_alt 'P 1'
_space_group_IT_number 1
_cell_length_a 4.093
_cell_length_b 4.093
_cell_length_c 8.394
_cell_angle_alpha 90.00
_cell_angle_beta 90.00
_cell_angle_gamma 90.00
loop_
_space_group_symop_operation_xyz
'x,y,z'
loop_
_atom_site_label
_atom_site_type_symbol
_atom_site_fract_x
_atom_site_fract_y
_atom_site_fract_z
Th1 Th 0.250 0.250 0.249
Th2 Th 0.750 0.750 0.751
P1 P 0.250 0.750 0.500
P2 P 0.750 0.250 0.500
Se1 Se 0.250 0.250 0.869
Se2 Se 0.750 0.750 0.131
# - Formation energy from the elements: -1.6265 eV/atom
# - Spin magnetization: 0.0 μB per formula unit

# 2
# YbInHg2 | Materials Project | r²SCAN | optimized geometry
data_YbInHg2
_space_group_name_H-M_alt 'P 1'
_space_group_IT_number 1
_cell_length_a 5.062
_cell_length_b 5.062
_cell_length_c 5.062
_cell_angle_alpha 60.00
_cell_angle_beta 60.00
_cell_angle_gamma 60.00
loop_
_space_group_symop_operation_xyz
'x,y,z'
loop_
_atom_site_label
_atom_site_type_symbol
_atom_site_fract_x
_atom_site_fract_y
_atom_site_fract_z
Yb1 Yb 0.000 0.000 0.000
In1 In 0.500 0.500 0.500
Hg1 Hg 0.250 0.250 0.250
Hg2 Hg 0.750 0.750 0.750
# - Formation energy from the elements: -0.3654 eV/atom
# - Spin magnetization: 0.0 μB per formula unit